1.
# As (PBE-GGA, optimized geometry)
# symmetry	I4/mmm (139)
# total magnetic moment	0.000	μB/atom
# excess energy over the best structure of this formula in the dataset	411.9	meV/atom
data_As
_chemical_formula_sum 'As3'
_cell_length_a 4.987
_cell_length_b 4.987
_cell_length_c 4.987
_cell_angle_alpha 131.82
_cell_angle_beta 131.82
_cell_angle_gamma 70.52
_symmetry_space_group_name_H-M 'P 1'
_symmetry_Int_Tables_number 1
loop_
_symmetry_equiv_pos_as_xyz
'x,y,z'
loop_
_atom_site_label
_atom_site_fract_x
_atom_site_fract_y
_atom_site_fract_z
As1 0.500 0.500 0.000
As2 0.250 0.750 0.500
As3 0.750 0.250 0.500

***

2.
# SrZrCdH8C8O22 (PBE-GGA, optimized geometry)
# symmetry	C2 (5)
# total magnetic moment	0.098	μB/atom
data_SrZrCdH8C8O22
_chemical_formula_sum 'Sr1 Zr1 Cd1 H8 C8 O22'
_cell_length_a 9.160
_cell_length_b 9.160
_cell_length_c 9.180
_cell_angle_alpha 76.82
_cell_angle_beta 76.82
_cell_angle_gamma 122.72
_symmetry_space_group_name_H-M 'P 1'
_symmetry_Int_Tables_number 1
loop_
_symmetry_equiv_pos_as_xyz
'x,y,z'
loop_
_atom_site_label
_atom_site_fract_x
_atom_site_fract_y
_atom_site_fract_z
C1 0.227 0.950 0.725
C2 0.050 0.773 0.275
C3 0.016 0.785 0.770
C4 0.214 0.445 0.770
C5 0.215 0.984 0.230
C6 0.555 0.786 0.230
C7 0.050 0.325 0.723
C8 0.675 0.950 0.277
O1 0.940 0.144 0.796
O2 0.616 0.412 0.214
O3 0.637 0.762 0.120
O4 0.317 0.003 0.312
O5 0.883 0.759 0.878
O6 0.749 0.251 0.500
O7 0.997 0.683 0.688
O8 0.238 0.363 0.880
O9 0.856 0.060 0.204
O10 0.263 0.057 0.799
O11 0.588 0.384 0.786
O12 0.574 0.960 0.388
O13 0.500 0.500 0.500
O14 0.348 0.962 0.612
O15 0.173 0.381 0.208
O16 0.315 0.627 0.688
O17 0.619 0.827 0.792
O18 0.040 0.426 0.612
O19 0.373 0.685 0.312
O20 0.038 0.652 0.388
O21 0.241 0.117 0.122
O22 0.943 0.737 0.201
Zr1 0.250 0.750 0.500
Sr1 0.499 0.501 0.000
H1 0.052 0.270 0.218
H2 0.732 0.514 0.219
H3 0.141 0.427 0.286
H4 0.573 0.859 0.714
H5 0.712 0.425 0.713
H6 0.730 0.948 0.782
H7 0.575 0.288 0.287
H8 0.486 0.268 0.781
Cd1 0.000 0.000 0.000

***

3.
# SnP4O12 (PBE-GGA, optimized geometry)
# symmetry	C2/c (15)
# total magnetic moment	0.000	μB/atom
# excess energy over the best structure of this formula in the dataset	20.6	meV/atom
data_SnP4O12
_chemical_formula_sum 'Sn2 P8 O24'
_cell_length_a 7.291
_cell_length_b 7.291
_cell_length_c 10.269
_cell_angle_alpha 65.90
_cell_angle_beta 65.90
_cell_angle_gamma 70.20
_symmetry_space_group_name_H-M 'P 1'
_symmetry_Int_Tables_number 1
loop_
_symmetry_equiv_pos_as_xyz
'x,y,z'
loop_
_atom_site_label
_atom_site_fract_x
_atom_site_fract_y
_atom_site_fract_z
O1 0.506 0.777 0.943
O2 0.534 0.289 0.648
O3 0.914 0.160 0.594
O4 0.466 0.711 0.352
O5 0.351 0.191 0.342
O6 0.223 0.494 0.557
O7 0.649 0.809 0.658
O8 0.804 0.262 0.092
O9 0.777 0.506 0.443
O10 0.711 0.466 0.852
O11 0.879 0.739 0.817
O12 0.086 0.840 0.406
O13 0.160 0.914 0.094
O14 0.289 0.534 0.148
O15 0.262 0.804 0.592
O16 0.494 0.223 0.057
O17 0.191 0.351 0.842
O18 0.840 0.086 0.906
O19 0.261 0.121 0.683
O20 0.739 0.879 0.317
O21 0.738 0.196 0.408
O22 0.121 0.261 0.183
O23 0.809 0.649 0.158
O24 0.196 0.738 0.908
P1 0.726 0.252 0.979
P2 0.308 0.287 0.199
P3 0.287 0.308 0.699
P4 0.274 0.748 0.021
P5 0.713 0.692 0.301
P6 0.252 0.726 0.479
P7 0.692 0.713 0.801
P8 0.748 0.274 0.521
Sn1 0.057 0.943 0.750
Sn2 0.943 0.057 0.250

***

4.
# CdNCl3 (PBE-GGA, optimized geometry)
# symmetry	P2_1/m (11)
# total magnetic moment	0.000	μB/atom
# excess energy over the best structure of this formula in the dataset	130.4	meV/atom
data_CdNCl3
_chemical_formula_sum 'Cd2 N2 Cl6'
_cell_length_a 7.429
_cell_length_b 5.874
_cell_length_c 7.703
_cell_angle_alpha 72.71
_cell_angle_beta 90.00
_cell_angle_gamma 90.00
_symmetry_space_group_name_H-M 'P 1'
_symmetry_Int_Tables_number 1
loop_
_symmetry_equiv_pos_as_xyz
'x,y,z'
loop_
_atom_site_label
_atom_site_fract_x
_atom_site_fract_y
_atom_site_fract_z
Cl1 0.750 0.390 0.916
Cl2 0.250 0.105 0.244
Cl3 0.750 0.895 0.756
Cl4 0.250 0.140 0.768
Cl5 0.250 0.610 0.084
Cl6 0.750 0.860 0.232
Cd1 0.500 0.000 0.000
Cd2 0.000 0.000 0.000
N1 0.250 0.379 0.293
N2 0.750 0.621 0.707

***

5.
# Pr4B10O21 (PBE-GGA, optimized geometry)
# symmetry	P2_1/c (14)
# total magnetic moment	0.000	μB/atom
data_Pr4B10O21
_chemical_formula_sum 'Pr16 B40 O84'
_cell_length_a 19.686
_cell_length_b 7.222
_cell_length_c 11.679
_cell_angle_alpha 55.27
_cell_angle_beta 90.00
_cell_angle_gamma 90.00
_symmetry_space_group_name_H-M 'P 1'
_symmetry_Int_Tables_number 1
loop_
_symmetry_equiv_pos_as_xyz
'x,y,z'
loop_
_atom_site_label
_atom_site_fract_x
_atom_site_fract_y
_atom_site_fract_z
B1 0.797 0.941 0.380
B2 0.703 0.941 0.880
B3 0.095 0.469 0.056
B4 0.976 0.603 0.100
B5 0.905 0.531 0.944
B6 0.071 0.562 0.634
B7 0.313 0.000 0.545
B8 0.521 0.091 0.102
B9 0.687 0.000 0.455
B10 0.793 0.412 0.879
B11 0.423 0.063 0.639
B12 0.187 0.000 0.045
B13 0.094 0.959 0.555
B14 0.293 0.588 0.621
B15 0.203 0.059 0.620
B16 0.929 0.438 0.366
B17 0.297 0.059 0.120
B18 0.571 0.438 0.866
B19 0.476 0.397 0.400
B20 0.677 0.480 0.955
B21 0.207 0.588 0.121
B22 0.813 0.000 0.955
B23 0.906 0.041 0.445
B24 0.077 0.063 0.139
B25 0.406 0.959 0.055
B26 0.923 0.937 0.861
B27 0.979 0.091 0.602
B28 0.323 0.520 0.045
B29 0.823 0.480 0.455
B30 0.524 0.603 0.600
B31 0.177 0.520 0.545
B32 0.707 0.412 0.379
B33 0.024 0.397 0.900
B34 0.595 0.531 0.444
B35 0.021 0.909 0.398
B36 0.479 0.909 0.898
B37 0.594 0.041 0.945
B38 0.405 0.469 0.556
B39 0.429 0.562 0.134
B40 0.577 0.937 0.361
Pr1 0.419 0.005 0.340
Pr2 0.707 0.926 0.177
Pr3 0.581 0.995 0.660
Pr4 0.083 0.530 0.334
Pr5 0.917 0.470 0.666
Pr6 0.800 0.465 0.161
Pr7 0.583 0.470 0.166
Pr8 0.700 0.465 0.661
Pr9 0.207 0.074 0.323
Pr10 0.793 0.926 0.677
Pr11 0.293 0.074 0.823
Pr12 0.081 0.005 0.840
Pr13 0.300 0.535 0.339
Pr14 0.200 0.535 0.839
Pr15 0.417 0.530 0.834
Pr16 0.919 0.995 0.160
O1 0.526 0.838 0.473
O2 0.625 0.085 0.374
O3 0.769 0.858 0.918
O4 0.039 0.896 0.275
O5 0.312 0.937 0.257
O6 0.688 0.063 0.743
O7 0.659 0.392 0.481
O8 0.018 0.675 0.529
O9 0.961 0.104 0.725
O10 0.958 0.609 0.226
O11 0.571 0.963 0.084
O12 0.118 0.719 0.635
O13 0.816 0.547 0.736
O14 0.429 0.037 0.916
O15 0.313 0.666 0.906
O16 0.458 0.391 0.274
O17 0.113 0.420 0.598
O18 0.452 0.530 0.627
O19 0.882 0.281 0.365
O20 0.270 0.452 0.139
O21 0.026 0.162 0.027
O22 0.518 0.325 0.971
O23 0.618 0.281 0.865
O24 0.322 0.152 0.397
O25 0.548 0.470 0.373
O26 0.678 0.848 0.603
O27 0.125 0.915 0.126
O28 0.113 0.231 0.144
O29 0.572 0.464 0.584
O30 0.813 0.334 0.594
O31 0.375 0.915 0.626
O32 0.316 0.453 0.764
O33 0.974 0.838 0.973
O34 0.387 0.231 0.644
O35 0.461 0.896 0.775
O36 0.178 0.152 0.897
O37 0.452 0.997 0.138
O38 0.042 0.391 0.774
O39 0.766 0.189 0.920
O40 0.072 0.536 0.916
O41 0.952 0.470 0.873
O42 0.730 0.548 0.861
O43 0.687 0.334 0.094
O44 0.266 0.811 0.580
O45 0.843 0.896 0.481
O46 0.428 0.536 0.416
O47 0.734 0.189 0.420
O48 0.234 0.811 0.080
O49 0.613 0.769 0.356
O50 0.230 0.452 0.639
O51 0.341 0.608 0.519
O52 0.482 0.675 0.029
O53 0.982 0.325 0.471
O54 0.684 0.547 0.236
O55 0.952 0.003 0.362
O56 0.770 0.548 0.361
O57 0.887 0.580 0.402
O58 0.382 0.719 0.135
O59 0.542 0.609 0.726
O60 0.929 0.963 0.584
O61 0.159 0.608 0.019
O62 0.048 0.997 0.638
O63 0.928 0.464 0.084
O64 0.887 0.769 0.856
O65 0.231 0.142 0.082
O66 0.071 0.037 0.416
O67 0.875 0.085 0.874
O68 0.731 0.858 0.418
O69 0.548 0.003 0.862
O70 0.474 0.162 0.527
O71 0.657 0.896 0.981
O72 0.812 0.063 0.243
O73 0.841 0.392 0.981
O74 0.343 0.104 0.019
O75 0.613 0.580 0.902
O76 0.539 0.104 0.225
O77 0.822 0.848 0.103
O78 0.387 0.420 0.098
O79 0.184 0.453 0.264
O80 0.187 0.666 0.406
O81 0.269 0.142 0.582
O82 0.157 0.104 0.519
O83 0.048 0.530 0.127
O84 0.188 0.937 0.757

***

6.
# Cr3SnN (PBE-GGA, optimized geometry)
# symmetry	Pm-3m (221)
# total magnetic moment	0.573	μB/atom
data_Cr3SnN
_chemical_formula_sum 'Cr3 Sn1 N1'
_cell_length_a 3.937
_cell_length_b 3.937
_cell_length_c 3.937
_cell_angle_alpha 90.00
_cell_angle_beta 90.00
_cell_angle_gamma 90.00
_symmetry_space_group_name_H-M 'P 1'
_symmetry_Int_Tables_number 1
loop_
_symmetry_equiv_pos_as_xyz
'x,y,z'
loop_
_atom_site_label
_atom_site_fract_x
_atom_site_fract_y
_atom_site_fract_z
Cr1 0.000 0.500 0.500
Cr2 0.500 0.500 0.000
Cr3 0.500 0.000 0.500
N1 0.500 0.500 0.500
Sn1 0.000 0.000 0.000

***

7.
# La4MgTi4O10 (PBE-GGA, optimized geometry)
# symmetry	P1 (1)
# total magnetic moment	0.100	μB/atom
# excess energy over the best structure of this formula in the dataset	48.0	meV/atom
data_La4MgTi4O10
_chemical_formula_sum 'La4 Mg1 Ti4 O10'
_cell_length_a 5.912
_cell_length_b 5.757
_cell_length_c 8.976
_cell_angle_alpha 110.17
_cell_angle_beta 110.66
_cell_angle_gamma 85.75
_symmetry_space_group_name_H-M 'P 1'
_symmetry_Int_Tables_number 1
loop_
_symmetry_equiv_pos_as_xyz
'x,y,z'
loop_
_atom_site_label
_atom_site_fract_x
_atom_site_fract_y
_atom_site_fract_z
O1 0.502 0.010 0.522
O2 0.727 0.237 0.973
O3 0.588 0.594 0.249
O4 0.385 0.443 0.739
O5 0.141 0.155 0.249
O6 0.245 0.755 0.009
O7 0.834 0.795 0.739
O8 0.752 0.762 0.023
O9 0.993 0.002 0.505
O10 0.207 0.217 0.933
La1 0.397 0.890 0.754
La2 0.570 0.060 0.286
La3 0.837 0.364 0.754
La4 0.197 0.727 0.286
Ti1 0.812 0.696 0.504
Ti2 0.172 0.308 0.504
Ti3 0.987 0.977 0.983
Ti4 0.476 0.506 0.983
Mg1 0.850 0.360 0.220

***

8.
# Sr2LiPt (PBE-GGA, optimized geometry)
# symmetry	Fm-3m (225)
# total magnetic moment	0.000	μB/atom
data_Sr2LiPt
_chemical_formula_sum 'Sr2 Li1 Pt1'
_cell_length_a 5.390
_cell_length_b 5.390
_cell_length_c 5.390
_cell_angle_alpha 60.00
_cell_angle_beta 60.00
_cell_angle_gamma 60.00
_symmetry_space_group_name_H-M 'P 1'
_symmetry_Int_Tables_number 1
loop_
_symmetry_equiv_pos_as_xyz
'x,y,z'
loop_
_atom_site_label
_atom_site_fract_x
_atom_site_fract_y
_atom_site_fract_z
Sr1 0.250 0.250 0.250
Sr2 0.750 0.750 0.750
Pt1 0.000 0.000 0.000
Li1 0.500 0.500 0.500

***

9.
# Ba11Ta6S26 (PBE-GGA, optimized geometry)
# symmetry	P1 (1)
# total magnetic moment	0.000	μB/atom
data_Ba11Ta6S26
_chemical_formula_sum 'Ba11 Ta6 S26'
_cell_length_a 6.918
_cell_length_b 12.085
_cell_length_c 14.530
_cell_angle_alpha 98.14
_cell_angle_beta 103.73
_cell_angle_gamma 89.56
_symmetry_space_group_name_H-M 'P 1'
_symmetry_Int_Tables_number 1
loop_
_symmetry_equiv_pos_as_xyz
'x,y,z'
loop_
_atom_site_label
_atom_site_fract_x
_atom_site_fract_y
_atom_site_fract_z
S1 0.448 0.652 0.399
S2 0.144 0.718 0.809
S3 0.046 0.348 0.602
S4 0.599 0.031 0.181
S5 0.831 0.782 0.180
S6 0.192 0.894 0.394
S7 0.656 0.717 0.821
S8 0.418 0.969 0.819
S9 0.897 0.473 0.807
S10 0.096 0.529 0.199
S11 0.546 0.850 0.607
S12 0.455 0.150 0.393
S13 0.493 0.435 0.000
S14 0.354 0.783 0.196
S15 0.060 0.852 0.606
S16 0.337 0.282 0.189
S17 0.662 0.219 0.818
S18 0.698 0.394 0.394
S19 0.553 0.347 0.603
S20 0.799 0.105 0.604
S21 0.158 0.220 0.808
S22 0.951 0.655 0.396
S23 0.842 0.279 0.182
S24 0.943 0.150 0.393
S25 0.303 0.605 0.605
S26 0.108 0.026 0.000
Ba1 0.479 0.174 0.996
Ba2 0.598 0.533 0.210
Ba3 0.986 0.371 0.003
Ba4 0.109 0.036 0.208
Ba5 0.805 0.606 0.610
Ba6 0.302 0.099 0.609
Ba7 0.197 0.399 0.392
Ba8 0.433 0.832 0.001
Ba9 0.696 0.897 0.391
Ba10 0.389 0.465 0.792
Ba11 0.902 0.965 0.791
Ta1 0.373 0.788 0.735
Ta2 0.254 0.748 0.500
Ta3 0.754 0.249 0.499
Ta4 0.634 0.211 0.266
Ta5 0.859 0.289 0.731
Ta6 0.118 0.716 0.265

***

10.
# SmH3 (PBE-GGA, optimized geometry)
# symmetry	Fm-3m (225)
data_SmH3
_chemical_formula_sum 'Sm1 H3'
_cell_length_a 3.766
_cell_length_b 3.766
_cell_length_c 3.766
_cell_angle_alpha 60.00
_cell_angle_beta 60.00
_cell_angle_gamma 60.00
_symmetry_space_group_name_H-M 'P 1'
_symmetry_Int_Tables_number 1
loop_
_symmetry_equiv_pos_as_xyz
'x,y,z'
loop_
_atom_site_label
_atom_site_fract_x
_atom_site_fract_y
_atom_site_fract_z
H1 0.750 0.750 0.750
H2 0.500 0.500 0.500
H3 0.250 0.250 0.250
Sm1 0.000 0.000 0.000

***

11.
# Sr2CaReO6 (PBE-GGA, optimized geometry)
# symmetry	P2_1/c (14)
# total magnetic moment	0.100	μB/atom
data_Sr2CaReO6
_chemical_formula_sum 'Sr4 Ca2 Re2 O12'
_cell_length_a 5.837
_cell_length_b 5.901
_cell_length_c 8.263
_cell_angle_alpha 90.00
_cell_angle_beta 90.21
_cell_angle_gamma 90.00
_symmetry_space_group_name_H-M 'P 1'
_symmetry_Int_Tables_number 1
loop_
_symmetry_equiv_pos_as_xyz
'x,y,z'
loop_
_atom_site_label
_atom_site_fract_x
_atom_site_fract_y
_atom_site_fract_z
O1 0.082 0.523 0.773
O2 0.267 0.311 0.041
O3 0.418 0.023 0.727
O4 0.733 0.689 0.959
O5 0.918 0.477 0.227
O6 0.582 0.977 0.273
O7 0.184 0.769 0.045
O8 0.233 0.811 0.459
O9 0.816 0.231 0.955
O10 0.684 0.731 0.545
O11 0.767 0.189 0.541
O12 0.316 0.269 0.455
Sr1 0.508 0.460 0.750
Sr2 0.008 0.040 0.250
Sr3 0.992 0.960 0.750
Sr4 0.492 0.540 0.250
Re1 0.000 0.500 0.000
Re2 0.500 0.000 0.500
Ca1 0.000 0.500 0.500
Ca2 0.500 0.000 0.000

***

12.
# Eu2CuSi3 (PBE-GGA, optimized geometry)
# symmetry	P-6m2 (187)
# total magnetic moment	2.299	μB/atom
data_Eu2CuSi3
_chemical_formula_sum 'Eu2 Cu1 Si3'
_cell_length_a 4.078
_cell_length_b 4.077
_cell_length_c 8.779
_cell_angle_alpha 90.00
_cell_angle_beta 90.00
_cell_angle_gamma 60.00
_symmetry_space_group_name_H-M 'P 1'
_symmetry_Int_Tables_number 1
loop_
_symmetry_equiv_pos_as_xyz
'x,y,z'
loop_
_atom_site_label
_atom_site_fract_x
_atom_site_fract_y
_atom_site_fract_z
Eu1 0.000 0.000 0.008
Eu2 0.000 0.000 0.492
Cu1 0.667 0.667 0.250
Si1 0.333 0.333 0.250
Si2 0.333 0.333 0.750
Si3 0.667 0.667 0.750

***

Number 1: energy of formation from the pure elements 0.412 eV/atom. Number 2: energy of formation from the pure elements -1.564 eV/atom. Number 3: energy of formation from the pure elements -2.466 eV/atom. Number 4: energy of formation from the pure elements -0.174 eV/atom. Number 5: energy of formation from the pure elements -3.189 eV/atom. Number 6: energy of formation from the pure elements -0.178 eV/atom. Number 7: energy of formation from the pure elements -2.927 eV/atom. Number 8: energy of formation from the pure elements -0.392 eV/atom. Number 9: energy of formation from the pure elements -1.869 eV/atom. Number 10: energy of formation from the pure elements -0.650 eV/atom. Number 11: energy of formation from the pure elements -2.921 eV/atom. Number 12: energy of formation from the pure elements -0.425 eV/atom.